First-principles (PBE) data for an optimized crystal structure of SiO2, as listed in the Materials Project database.

POSCAR file:
```
SiO2
1.0
-1.147 -8.671 -4.648
6.499 -4.181 6.196
-6.322 -1.996 5.284
O Si
32 16
Direct
0.459 0.683 0.718
0.817 0.041 0.218
0.853 0.150 0.500
0.959 0.817 0.282
0.307 0.193 0.750
0.317 0.459 0.782
0.541 0.317 0.718
0.693 0.807 0.250
0.650 0.353 0.000
0.183 0.959 0.782
0.693 0.807 0.750
0.817 0.041 0.782
0.183 0.959 0.218
0.959 0.817 0.718
0.041 0.183 0.718
0.350 0.647 0.000
0.150 0.147 0.000
0.353 0.350 0.500
0.147 0.850 0.500
0.683 0.541 0.218
0.041 0.183 0.282
0.541 0.317 0.282
0.307 0.193 0.250
0.317 0.459 0.218
0.807 0.307 0.250
0.647 0.650 0.500
0.683 0.541 0.782
0.850 0.853 0.000
0.807 0.307 0.750
0.193 0.693 0.750
0.193 0.693 0.250
0.459 0.683 0.282
0.379 0.330 0.313
0.879 0.170 0.313
0.330 0.621 0.813
0.670 0.379 0.813
0.621 0.670 0.313
0.121 0.830 0.313
0.670 0.379 0.187
0.170 0.121 0.813
0.330 0.621 0.187
0.830 0.879 0.813
0.879 0.170 0.687
0.379 0.330 0.687
0.830 0.879 0.187
0.121 0.830 0.687
0.621 0.670 0.687
0.170 0.121 0.187
```



First-principles (PBE) data for an optimized crystal structure of SmRh3, as listed in the Materials Project database.

POSCAR file:
```
SmRh3
1.0
2.659 -4.605 0.000
2.659 4.605 0.000
0.000 0.000 17.640
Rh Sm
18 6
Direct
0.000 0.000 0.500
0.167 0.334 0.373
0.167 0.833 0.373
0.833 0.666 0.627
0.000 0.000 0.000
0.334 0.167 0.873
0.833 0.167 0.873
0.333 0.667 0.250
0.833 0.167 0.627
0.666 0.833 0.127
0.167 0.833 0.127
0.000 0.000 0.750
0.833 0.666 0.873
0.666 0.833 0.373
0.000 0.000 0.250
0.167 0.334 0.127
0.667 0.333 0.750
0.334 0.167 0.627
0.667 0.333 0.458
0.667 0.333 0.250
0.667 0.333 0.042
0.333 0.667 0.542
0.333 0.667 0.958
0.333 0.667 0.750
```



First-principles (PBE) data for an optimized crystal structure of Sr5Ti5O13, as listed in the Materials Project database.

POSCAR file:
```
Sr5Ti5O13
1.0
4.515 -0.618 -3.257
3.980 2.370 5.047
-2.591 -7.982 2.717
Ti Sr O
5 5 13
Direct
0.500 0.000 0.500
0.293 0.207 0.111
0.707 0.793 0.889
0.889 0.607 0.292
0.111 0.393 0.708
0.901 0.097 0.306
0.703 0.299 0.897
0.500 0.500 0.500
0.099 0.903 0.694
0.297 0.701 0.103
0.615 0.383 0.207
0.704 0.782 0.417
0.000 0.000 0.000
0.806 0.204 0.591
0.411 0.069 0.284
0.296 0.218 0.583
0.218 0.294 0.902
0.782 0.706 0.098
0.589 0.931 0.716
0.194 0.796 0.409
0.385 0.617 0.793
0.892 0.597 0.790
0.108 0.403 0.210
```



First-principles (PBE) data for an optimized crystal structure of Na2TaAl3P4S2O24, as listed in the Materials Project database.

POSCAR file:
```
Na2TaAl3P4S2O24
1.0
8.454 0.003 0.010
-4.224 7.325 0.002
0.025 0.021 22.050
Na P O S Al Ta
6 12 72 6 9 3
Direct
0.334 0.667 0.666
0.003 0.000 0.999
0.331 0.660 0.162
0.997 0.996 0.500
0.667 0.333 0.830
0.675 0.337 0.332
0.725 0.010 0.749
0.323 0.948 0.919
0.040 0.670 0.420
0.988 0.273 0.249
0.724 0.714 0.248
0.050 0.372 0.918
0.964 0.630 0.086
0.625 0.680 0.918
0.285 0.276 0.749
0.372 0.334 0.088
0.990 0.715 0.749
0.626 0.960 0.420
0.830 0.804 0.589
0.831 0.795 0.306
0.033 0.831 0.691
0.365 0.870 0.861
0.150 0.646 0.076
0.207 0.033 0.305
0.970 0.168 0.307
0.832 0.035 0.806
0.185 0.161 0.093
0.505 0.635 0.861
0.163 0.471 0.258
0.500 0.140 0.925
0.693 0.172 0.740
0.170 0.194 0.410
0.851 0.498 0.427
0.802 0.834 0.192
0.534 0.701 0.975
0.306 0.840 0.256
0.301 0.834 0.975
0.368 0.489 0.363
0.842 0.302 0.528
0.831 0.026 0.091
0.975 0.169 0.590
0.164 0.692 0.756
0.696 0.536 0.528
0.799 0.968 0.691
0.976 0.816 0.093
0.814 0.841 0.909
0.499 0.638 0.575
0.308 0.472 0.756
0.141 0.499 0.575
0.641 0.503 0.923
0.360 0.506 0.076
0.527 0.693 0.258
0.502 0.862 0.077
0.478 0.307 0.740
0.173 0.969 0.195
0.163 0.461 0.974
0.026 0.184 0.908
0.169 0.202 0.691
0.639 0.147 0.427
0.463 0.161 0.528
0.814 0.978 0.410
0.033 0.198 0.193
0.873 0.366 0.637
0.840 0.539 0.029
0.824 0.302 0.241
0.828 0.522 0.740
0.964 0.797 0.806
0.163 0.699 0.474
0.203 0.167 0.806
0.505 0.870 0.362
0.160 0.974 0.909
0.634 0.506 0.637
0.195 0.026 0.590
0.690 0.519 0.242
0.536 0.834 0.474
0.874 0.504 0.140
0.300 0.460 0.473
0.634 0.127 0.139
0.529 0.836 0.756
0.472 0.165 0.242
0.499 0.359 0.426
0.028 0.842 0.408
0.128 0.494 0.861
0.460 0.299 0.029
0.494 0.129 0.637
0.360 0.862 0.576
0.128 0.633 0.362
0.497 0.362 0.141
0.699 0.156 0.030
0.858 0.356 0.925
0.956 0.333 0.583
0.665 0.041 0.086
0.333 0.373 0.419
0.287 0.010 0.249
0.666 0.620 0.583
0.380 0.047 0.583
0.981 0.989 0.352
0.001 0.000 0.653
0.000 0.000 0.852
0.674 0.333 0.480
0.667 0.334 0.691
0.335 0.676 0.518
0.326 0.658 0.019
0.998 0.002 0.145
0.678 0.350 0.185
0.331 0.667 0.311
0.333 0.667 0.810
0.664 0.340 0.979
```



First-principles (PBE) data for an optimized crystal structure of LiBiO3, as listed in the Materials Project database.

POSCAR file:
```
LiBiO3
1.0
5.037 0.000 0.000
0.000 9.021 0.000
0.000 0.000 10.946
O Bi Li
24 8 8
Direct
0.810 0.595 0.457
0.190 0.095 0.043
0.775 0.085 0.700
0.750 0.250 0.950
0.690 0.905 0.457
0.190 0.405 0.543
0.725 0.085 0.200
0.725 0.415 0.700
0.250 0.250 0.278
0.750 0.750 0.722
0.810 0.905 0.957
0.275 0.915 0.800
0.250 0.750 0.050
0.250 0.250 0.778
0.310 0.405 0.043
0.310 0.095 0.543
0.750 0.750 0.222
0.690 0.595 0.957
0.750 0.250 0.450
0.775 0.415 0.200
0.250 0.750 0.550
0.275 0.585 0.300
0.225 0.915 0.300
0.225 0.585 0.800
0.496 0.086 0.363
0.004 0.086 0.863
0.004 0.414 0.363
0.504 0.586 0.137
0.496 0.414 0.863
0.996 0.914 0.137
0.996 0.586 0.637
0.504 0.914 0.637
0.499 0.212 0.097
0.501 0.712 0.403
0.499 0.288 0.597
0.001 0.212 0.597
0.999 0.712 0.903
0.999 0.788 0.403
0.001 0.288 0.097
0.501 0.788 0.903
```



First-principles (PBE) data for an optimized crystal structure of Y4MgBi4O12, as listed in the Materials Project database.

POSCAR file:
```
Y4MgBi4O12
1.0
5.815 -0.294 0.093
-0.310 5.764 -0.053
0.120 -0.039 10.797
Y Bi O Mg
4 4 12 1
Direct
0.565 0.531 0.266
0.006 0.034 0.287
0.456 0.447 0.736
0.034 0.962 0.739
0.521 0.980 0.503
0.552 0.979 0.948
0.893 0.603 0.988
0.013 0.531 0.509
0.282 0.729 0.628
0.333 0.656 0.894
0.823 0.810 0.152
0.300 0.827 0.360
0.206 0.224 0.611
0.796 0.634 0.665
0.780 0.770 0.412
0.606 0.386 0.068
0.730 0.260 0.366
0.245 0.160 0.884
0.705 0.144 0.780
0.227 0.335 0.215
0.280 0.382 0.030
```

Properties
Relative energy among the computed polymorphs, eV/atom: 0.000



First-principles (PBE) data for an optimized crystal structure of GeP, as listed in the Materials Project database.

POSCAR file:
```
GeP
1.0
2.713 -1.913 1.597
3.595 3.443 -6.230
0.765 6.616 6.627
Ge P
6 6
Direct
0.747 0.493 0.787
0.070 0.141 0.594
0.373 0.746 0.074
0.253 0.507 0.213
0.627 0.254 0.926
0.930 0.859 0.406
0.345 0.690 0.816
0.658 0.317 0.549
0.964 0.929 0.167
0.036 0.071 0.833
0.655 0.310 0.184
0.342 0.683 0.451
```



First-principles (PBE) data for an optimized crystal structure of ErFeCu, as listed in the Materials Project database.

POSCAR file:
```
ErFeCu
1.0
2.431 4.167 -1.889
-3.072 0.277 4.163
4.000 2.151 2.494
Cu Fe Er
2 2 2
Direct
0.750 0.375 0.875
0.250 0.375 0.375
0.750 0.375 0.375
0.250 0.875 0.375
0.500 0.752 0.748
0.000 0.998 0.002
```



First-principles (PBE) data for an optimized crystal structure of Tm10In20Co9, as listed in the Materials Project database.

POSCAR file:
```
Tm10In20Co9
1.0
13.088 0.000 0.000
0.000 13.088 0.000
0.000 0.000 9.101
In Tm Co
40 20 18
Direct
0.848 0.848 0.000
0.131 0.631 0.590
0.871 0.871 0.500
0.129 0.871 0.500
0.886 0.000 0.764
0.369 0.869 0.410
0.000 0.668 0.096
0.348 0.348 0.000
0.131 0.369 0.590
0.629 0.371 0.500
0.369 0.131 0.410
0.500 0.168 0.904
0.371 0.629 0.500
0.668 0.000 0.904
0.114 0.000 0.764
0.869 0.369 0.590
0.000 0.114 0.236
0.500 0.386 0.764
0.000 0.332 0.096
0.152 0.848 0.000
0.332 0.000 0.904
0.386 0.500 0.236
0.614 0.500 0.236
0.832 0.500 0.096
0.152 0.152 0.000
0.000 0.886 0.236
0.500 0.614 0.764
0.629 0.629 0.500
0.631 0.869 0.410
0.348 0.652 0.000
0.869 0.631 0.590
0.371 0.371 0.500
0.652 0.348 0.000
0.129 0.129 0.500
0.168 0.500 0.096
0.652 0.652 0.000
0.500 0.832 0.904
0.848 0.152 0.000
0.871 0.129 0.500
0.631 0.131 0.410
0.204 0.704 0.270
0.796 0.296 0.270
0.725 0.500 0.769
0.296 0.204 0.730
0.704 0.204 0.730
0.000 0.500 0.363
0.500 0.725 0.231
0.704 0.796 0.730
0.000 0.500 0.839
0.225 0.000 0.231
0.500 0.000 0.637
0.500 0.275 0.231
0.500 0.000 0.161
0.204 0.296 0.270
0.296 0.796 0.730
0.000 0.775 0.769
0.775 0.000 0.231
0.000 0.225 0.769
0.275 0.500 0.769
0.796 0.704 0.270
0.842 0.342 0.896
0.342 0.842 0.104
0.658 0.842 0.104
0.500 0.775 0.594
0.342 0.158 0.104
0.158 0.658 0.896
0.158 0.342 0.896
0.842 0.658 0.896
0.658 0.158 0.104
0.725 0.000 0.594
0.000 0.275 0.406
0.000 0.725 0.406
0.500 0.225 0.594
0.000 0.000 0.000
0.275 0.000 0.594
0.225 0.500 0.406
0.775 0.500 0.406
0.500 0.500 0.000
```



Number 1: calculated total energy -7.907 eV per atom. Number 2: calculated total energy -7.234 eV per atom. Number 3: calculated total energy -7.823 eV per atom. Number 4: calculated total energy -7.151 eV per atom. Number 5: calculated total energy -5.352 eV per atom. Number 6: calculated total energy -7.098 eV per atom. Number 7: calculated total energy -5.014 eV per atom. Number 8: calculated total energy -5.799 eV per atom. Number 9: calculated total energy -4.490 eV per atom.